Below is Rb2In4O7 after structural relaxation, with properties calculated at the GGA-PBE level.

Results
Energy, Ry/atom: -0.381
Calculated formation energy, eV/atom: -1.90

Cell lengths 5.738, 5.738, 7.462 Å; angles 90.00, 90.00, 120.00 degrees
Sites, in units of the cell vectors:
Rb 0.333 0.667 0.000
Rb 0.667 0.333 0.000
In 0.000 0.000 0.724
In 0.667 0.333 0.500
In 0.000 0.000 0.276
In 0.333 0.667 0.500
O 0.358 0.000 0.665
O 0.642 0.642 0.665
O 0.358 0.358 0.335
O 0.000 0.642 0.335
O 0.000 0.358 0.665
O 0.000 0.000 0.000
O 0.642 0.000 0.335